# K2LiH2Se2O6, relaxed, DFT PBE
# excess energy over the best structure of this formula in the dataset	72	meV per atom
# symmetry	No. 2
# energy with MP2020 corrections	-0.18789	Ha/atom
# crystal system	triclinic
# V	219.6	Å³ per cell
data_K2LiH2Se2O6
_symmetry_space_group_name_H-M 'P 1'
_symmetry_Int_Tables_number 1
_cell_length_a 5.534
_cell_length_b 6.130
_cell_length_c 7.142
_cell_angle_alpha 102.88
_cell_angle_beta 111.04
_cell_angle_gamma 90.07
loop_
_symmetry_equiv_pos_as_xyz
'x,y,z'
loop_
_atom_site_label
_atom_site_type_symbol
_atom_site_fract_x
_atom_site_fract_y
_atom_site_fract_z
K1 K 0.155 0.021 0.282
K2 K 0.845 0.979 0.718
Li1 Li 0.000 0.500 0.000
H1 H 0.332 0.205 0.928
H2 H 0.668 0.795 0.072
Se1 Se 0.331 0.620 0.682
Se2 Se 0.669 0.380 0.318
O1 O 0.064 0.580 0.739
O2 O 0.258 0.268 0.032
O3 O 0.318 0.882 0.636
O4 O 0.682 0.118 0.364
O5 O 0.742 0.732 0.968
O6 O 0.936 0.420 0.261